Entry 1:
Computed, not measured: a geometry-optimized CeMg14Ni structure at the PBE level of DFT.

Cell: 6.587 6.587 10.480 Å, 90.00 90.00 120.00°
Sites, in units of the cell vectors:
Ce (0.167, 0.333, 0.625)
Mg (0.159, 0.830, 0.125)
Mg (0.182, 0.841, 0.625)
Mg (0.670, 0.341, 0.125)
Mg (0.659, 0.318, 0.625)
Mg (0.670, 0.830, 0.125)
Mg (0.659, 0.841, 0.625)
Mg (0.326, 0.174, 0.355)
Mg (0.326, 0.174, 0.895)
Mg (0.326, 0.652, 0.355)
Mg (0.326, 0.652, 0.895)
Mg (0.848, 0.174, 0.355)
Mg (0.848, 0.174, 0.895)
Mg (0.833, 0.667, 0.386)
Mg (0.833, 0.667, 0.864)
Ni (0.167, 0.333, 0.125)

Properties
space-group type = No. 187
relative energy among the computed polymorphs = 58.5 meV/atom
VASP energy = -32.56 eV/cell

Entry 2:
Computed, not measured: a geometry-optimized Ti4Ni4Ge7 structure at the PBE level of DFT.

Cell: 9.525 9.525 9.525 Å, 94.15 94.15 148.80°
Sites, in units of the cell vectors:
Ti (0.135, 0.135, 0.270)
Ti (0.865, 0.865, 0.730)
Ti (0.865, 0.135, 0.000)
Ti (0.135, 0.865, 0.000)
Ti (0.500, 0.311, 0.811)
Ti (0.500, 0.689, 0.189)
Ti (0.689, 0.500, 0.189)
Ti (0.311, 0.500, 0.811)
Ni (0.400, 0.900, 0.799)
Ni (0.100, 0.600, 0.201)
Ni (0.100, 0.900, 0.500)
Ni (0.400, 0.600, 0.500)
Ni (0.600, 0.400, 0.500)
Ni (0.900, 0.100, 0.500)
Ni (0.900, 0.400, 0.799)
Ni (0.600, 0.100, 0.201)
Ge (0.500, 0.096, 0.596)
Ge (0.500, 0.904, 0.404)
Ge (0.904, 0.500, 0.404)
Ge (0.096, 0.500, 0.596)
Ge (0.751, 0.751, 0.000)
Ge (0.249, 0.249, 0.000)
Ge (0.299, 0.299, 0.598)
Ge (0.701, 0.701, 0.402)
Ge (0.701, 0.299, 0.000)
Ge (0.299, 0.701, 0.000)
Ge (0.000, 0.280, 0.280)
Ge (0.000, 0.720, 0.720)
Ge (0.720, 0.000, 0.720)
Ge (0.280, 0.000, 0.280)

Properties
space-group type = No. 139
VASP energy = -189.52 eV/cell

Entry 3:
Computed, not measured: a geometry-optimized Mg6ZrV structure at the PBE level of DFT.

Cell: 4.952 6.277 11.032 Å, 90.00 90.00 90.00°
Sites, in units of the cell vectors:
Mg (0.000, 0.742, 0.079)
Mg (0.000, 0.258, 0.079)
Mg (0.000, 0.000, 0.335)
Mg (0.500, 0.254, 0.419)
Mg (0.500, 0.746, 0.419)
Mg (0.500, 0.000, 0.168)
Mg (0.000, 0.242, 0.579)
Mg (0.000, 0.758, 0.579)
Mg (0.000, 0.500, 0.835)
Mg (0.500, 0.754, 0.919)
Mg (0.500, 0.246, 0.919)
Mg (0.500, 0.500, 0.668)
Zr (0.000, 0.500, 0.319)
Zr (0.000, 0.000, 0.819)
V (0.500, 0.500, 0.181)
V (0.500, 0.000, 0.681)

Properties
relative energy among the computed polymorphs = 0.0 meV/atom
VASP energy = -51.84 eV/cell

Entry 4:
Computed, not measured: a geometry-optimized Mg149Tl structure at the PBE level of DFT.

Cell: 15.915 15.915 15.561 Å, 90.00 90.00 120.00°
Sites, in units of the cell vectors:
Mg (0.799, 0.001, 0.000)
Mg (0.202, 0.001, 0.000)
Mg (0.400, 0.200, 0.000)
Mg (0.800, 0.200, 0.000)
Mg (0.600, 0.200, 0.000)
Mg (0.202, 0.201, 0.000)
Mg (0.999, 0.201, 0.000)
Mg (0.200, 0.400, 0.000)
Mg (0.800, 0.400, 0.000)
Mg (0.600, 0.400, 0.000)
Mg (0.400, 0.400, 0.000)
Mg (0.000, 0.400, 0.000)
Mg (0.600, 0.600, 0.000)
Mg (0.000, 0.600, 0.000)
Mg (0.800, 0.600, 0.000)
Mg (0.200, 0.600, 0.000)
Mg (0.400, 0.600, 0.000)
Mg (0.999, 0.798, 0.000)
Mg (0.799, 0.798, 0.000)
Mg (0.400, 0.800, 0.000)
Mg (0.601, 0.800, 0.000)
Mg (0.200, 0.800, 0.000)
Mg (0.400, 0.000, 0.000)
Mg (0.600, 0.000, 0.000)
Mg (0.066, 0.333, 0.167)
Mg (0.267, 0.333, 0.167)
Mg (0.066, 0.733, 0.167)
Mg (0.667, 0.733, 0.167)
Mg (0.667, 0.934, 0.167)
Mg (0.267, 0.934, 0.167)
Mg (0.467, 0.133, 0.167)
Mg (0.667, 0.133, 0.167)
Mg (0.867, 0.333, 0.167)
Mg (0.467, 0.333, 0.167)
Mg (0.667, 0.533, 0.167)
Mg (0.867, 0.533, 0.167)
Mg (0.667, 0.333, 0.167)
Mg (0.267, 0.533, 0.167)
Mg (0.467, 0.733, 0.167)
Mg (0.267, 0.733, 0.167)
Mg (0.067, 0.533, 0.167)
Mg (0.467, 0.533, 0.167)
Mg (0.467, 0.933, 0.167)
Mg (0.866, 0.134, 0.167)
Mg (0.267, 0.134, 0.167)
Mg (0.866, 0.733, 0.167)
Mg (0.067, 0.134, 0.168)
Mg (0.866, 0.933, 0.168)
Mg (0.067, 0.933, 0.168)
Mg (0.200, 0.400, 0.333)
Mg (0.600, 0.800, 0.333)
Mg (0.200, 0.800, 0.333)
Mg (0.600, 0.200, 0.333)
Mg (0.800, 0.400, 0.333)
Mg (0.600, 0.400, 0.333)
Mg (0.600, 0.000, 0.333)
Mg (0.400, 0.000, 0.333)
Mg (0.400, 0.400, 0.333)
Mg (0.000, 0.400, 0.333)
Mg (0.600, 0.600, 0.333)
Mg (0.000, 0.600, 0.333)
Mg (0.400, 0.200, 0.333)
Mg (0.800, 0.200, 0.333)
Mg (0.800, 0.600, 0.333)
Mg (0.000, 0.000, 0.333)
Mg (0.200, 0.600, 0.333)
Mg (0.400, 0.600, 0.333)
Mg (0.400, 0.800, 0.333)
Mg (0.200, 0.000, 0.334)
Mg (0.800, 0.000, 0.334)
Mg (0.000, 0.200, 0.334)
Mg (0.200, 0.200, 0.334)
Mg (0.800, 0.800, 0.334)
Mg (0.000, 0.800, 0.334)
Mg (0.067, 0.133, 0.500)
Mg (0.467, 0.133, 0.500)
Mg (0.667, 0.133, 0.500)
Mg (0.867, 0.133, 0.500)
Mg (0.267, 0.133, 0.500)
Mg (0.667, 0.333, 0.500)
Mg (0.267, 0.333, 0.500)
Mg (0.067, 0.333, 0.500)
Mg (0.867, 0.333, 0.500)
Mg (0.467, 0.333, 0.500)
Mg (0.667, 0.533, 0.500)
Mg (0.867, 0.533, 0.500)
Mg (0.067, 0.533, 0.500)
Mg (0.467, 0.533, 0.500)
Mg (0.267, 0.533, 0.500)
Mg (0.867, 0.733, 0.500)
Mg (0.667, 0.733, 0.500)
Mg (0.067, 0.733, 0.500)
Mg (0.467, 0.733, 0.500)
Mg (0.267, 0.733, 0.500)
Mg (0.267, 0.933, 0.500)
Mg (0.667, 0.933, 0.500)
Mg (0.867, 0.933, 0.500)
Mg (0.067, 0.933, 0.500)
Mg (0.467, 0.933, 0.500)
Mg (0.200, 0.000, 0.666)
Mg (0.800, 0.000, 0.666)
Mg (0.000, 0.200, 0.666)
Mg (0.200, 0.200, 0.666)
Mg (0.800, 0.800, 0.666)
Mg (0.000, 0.800, 0.666)
Mg (0.200, 0.600, 0.667)
Mg (0.400, 0.600, 0.667)
Mg (0.400, 0.800, 0.667)
Mg (0.000, 0.000, 0.667)
Mg (0.400, 0.200, 0.667)
Mg (0.800, 0.200, 0.667)
Mg (0.800, 0.600, 0.667)
Mg (0.600, 0.000, 0.667)
Mg (0.400, 0.000, 0.667)
Mg (0.400, 0.400, 0.667)
Mg (0.000, 0.400, 0.667)
Mg (0.600, 0.600, 0.667)
Mg (0.000, 0.600, 0.667)
Mg (0.600, 0.200, 0.667)
Mg (0.800, 0.400, 0.667)
Mg (0.600, 0.400, 0.667)
Mg (0.200, 0.400, 0.667)
Mg (0.600, 0.800, 0.667)
Mg (0.200, 0.800, 0.667)
Mg (0.067, 0.134, 0.832)
Mg (0.866, 0.933, 0.832)
Mg (0.067, 0.933, 0.832)
Mg (0.866, 0.134, 0.833)
Mg (0.267, 0.134, 0.833)
Mg (0.866, 0.733, 0.833)
Mg (0.067, 0.533, 0.833)
Mg (0.467, 0.533, 0.833)
Mg (0.467, 0.933, 0.833)
Mg (0.267, 0.533, 0.833)
Mg (0.467, 0.733, 0.833)
Mg (0.267, 0.733, 0.833)
Mg (0.667, 0.333, 0.833)
Mg (0.467, 0.133, 0.833)
Mg (0.667, 0.133, 0.833)
Mg (0.867, 0.333, 0.833)
Mg (0.467, 0.333, 0.833)
Mg (0.667, 0.533, 0.833)
Mg (0.867, 0.533, 0.833)
Mg (0.066, 0.333, 0.833)
Mg (0.267, 0.333, 0.833)
Mg (0.066, 0.733, 0.833)
Mg (0.667, 0.733, 0.833)
Mg (0.667, 0.934, 0.833)
Mg (0.267, 0.934, 0.833)
Tl (0.000, 0.000, 0.000)

Properties
space-group type = No. 187
VASP energy = -245.10 eV/cell

Entry 5:
Computed, not measured: a geometry-optimized YRe4B4 structure at the PBE level of DFT.

Cell: 5.364 5.364 7.718 Å, 90.00 90.00 90.00°
Sites, in units of the cell vectors:
Y (0.000, 0.000, 0.000)
Y (0.500, 0.500, 0.500)
Re (0.250, 0.500, 0.860)
Re (0.750, 0.500, 0.860)
Re (0.000, 0.750, 0.360)
Re (0.000, 0.250, 0.360)
Re (0.250, 0.000, 0.640)
Re (0.750, 0.000, 0.640)
Re (0.500, 0.750, 0.140)
Re (0.500, 0.250, 0.140)
B (0.831, 0.500, 0.142)
B (0.169, 0.500, 0.142)
B (0.000, 0.331, 0.642)
B (0.000, 0.669, 0.642)
B (0.669, 0.000, 0.358)
B (0.331, 0.000, 0.358)
B (0.500, 0.169, 0.858)
B (0.500, 0.831, 0.858)

Properties
space-group type = No. 137
VASP energy = -169.41 eV/cell

Entry 6:
Computed, not measured: a geometry-optimized CaAl2O2F6 structure at the PBE level of DFT.

Cell: 6.563 6.563 7.632 Å, 88.09 88.09 118.28°
Sites, in units of the cell vectors:
Ca (0.034, 0.966, 0.250)
Ca (0.966, 0.034, 0.750)
Al (0.500, 0.000, 0.500)
Al (0.000, 0.500, 0.000)
Al (0.368, 0.632, 0.250)
Al (0.632, 0.368, 0.750)
O (0.408, 0.946, 0.261)
O (0.054, 0.592, 0.239)
O (0.592, 0.054, 0.739)
O (0.946, 0.408, 0.761)
F (0.384, 0.685, 0.494)
F (0.315, 0.616, 0.006)
F (0.616, 0.315, 0.506)
F (0.685, 0.384, 0.994)
F (0.798, 0.046, 0.463)
F (0.954, 0.202, 0.037)
F (0.202, 0.954, 0.537)
F (0.046, 0.798, 0.963)
F (0.272, 0.338, 0.292)
F (0.662, 0.728, 0.208)
F (0.728, 0.662, 0.708)
F (0.338, 0.272, 0.792)

Properties
space-group type = No. 15
VASP energy = -125.89 eV/cell

Entry 7:
Computed, not measured: a geometry-optimized Ho2MgOs structure at the PBE level of DFT.

Cell: 4.979 4.979 4.979 Å, 60.00 60.00 60.00°
Sites, in units of the cell vectors:
Ho (0.250, 0.250, 0.250)
Ho (0.750, 0.750, 0.750)
Mg (0.500, 0.500, 0.500)
Os (0.000, 0.000, 0.000)

Properties
space-group type = No. 225
VASP energy = -22.65 eV/cell

Entry 8:
Computed, not measured: a geometry-optimized Ca3TiAl2Si3O13F2 structure at the PBE level of DFT.

Cell: 5.423 7.078 14.819 Å, 84.00 87.21 75.35°
Sites, in units of the cell vectors:
Ca (0.613, 0.474, 0.775)
Ca (0.281, 0.803, 0.446)
Ca (0.941, 0.141, 0.112)
Ca (0.719, 0.197, 0.554)
Ca (0.387, 0.526, 0.225)
Ca (0.059, 0.859, 0.888)
Ti (0.500, 0.000, 0.000)
Ti (0.500, 0.500, 0.000)
Al (0.166, 0.332, 0.664)
Al (0.167, 0.833, 0.665)
Al (0.834, 0.668, 0.336)
Al (0.833, 0.167, 0.335)
Si (0.588, 0.977, 0.767)
Si (0.252, 0.313, 0.439)
Si (0.922, 0.645, 0.111)
Si (0.748, 0.687, 0.561)
Si (0.412, 0.023, 0.233)
Si (0.078, 0.355, 0.889)
O (0.457, 0.815, 0.586)
O (0.504, 0.185, 0.700)
O (0.121, 0.151, 0.257)
O (0.283, 0.361, 0.543)
O (0.378, 0.843, 0.764)
O (0.171, 0.520, 0.371)
O (0.958, 0.821, 0.565)
O (0.047, 0.302, 0.786)
O (0.796, 0.496, 0.914)
O (0.953, 0.698, 0.214)
O (0.042, 0.179, 0.435)
O (0.853, 0.846, 0.040)
O (0.829, 0.480, 0.629)
O (0.622, 0.157, 0.236)
O (0.717, 0.639, 0.457)
O (0.597, 0.227, 0.022)
O (0.879, 0.849, 0.743)
O (0.619, 0.031, 0.871)
O (0.713, 0.512, 0.108)
O (0.496, 0.815, 0.300)
O (0.287, 0.488, 0.892)
O (0.381, 0.969, 0.129)
O (0.543, 0.185, 0.414)
O (0.403, 0.773, 0.978)
O (0.147, 0.154, 0.960)
O (0.204, 0.504, 0.086)
F (0.255, 0.560, 0.688)
F (0.922, 0.895, 0.359)
F (0.078, 0.105, 0.641)
F (0.745, 0.440, 0.312)

Properties
space-group type = No. 2
VASP energy = -360.96 eV/cell

Entry 9:
Computed, not measured: a geometry-optimized Nd6Cd5Si7 structure at the PBE level of DFT.

Cell: 4.319 5.896 17.587 Å, 98.67 90.00 111.49°
Sites, in units of the cell vectors:
Nd (0.617, 0.233, 0.937)
Nd (0.291, 0.582, 0.273)
Nd (0.976, 0.952, 0.610)
Nd (0.730, 0.460, 0.738)
Nd (0.363, 0.727, 0.050)
Nd (0.037, 0.074, 0.393)
Cd (0.685, 0.370, 0.137)
Cd (0.355, 0.711, 0.473)
Cd (0.033, 0.066, 0.802)
Cd (0.973, 0.947, 0.192)
Cd (0.656, 0.312, 0.532)
Si (0.284, 0.568, 0.874)
Si (0.578, 0.156, 0.277)
Si (0.261, 0.523, 0.617)
Si (0.892, 0.785, 0.925)
Si (0.077, 0.154, 0.056)
Si (0.750, 0.500, 0.389)
Si (0.441, 0.882, 0.723)

Properties
space-group type = No. 8
VASP energy = -79.89 eV/cell

Entry 10:
Computed, not measured: a geometry-optimized Nd2NbGaO7 structure at the PBE level of DFT.

Cell: 7.445 7.445 7.445 Å, 120.85 119.35 89.84°
Sites, in units of the cell vectors:
Nd (0.500, 0.500, 0.500)
Nd (0.500, 0.000, 0.000)
Nd (0.500, 0.500, 0.000)
Nd (0.000, 0.500, 0.500)
Nb (0.000, 0.000, 0.000)
Nb (0.500, 0.000, 0.500)
Ga (0.000, 0.000, 0.500)
Ga (0.000, 0.500, 0.000)
O (0.328, 0.078, 0.250)
O (0.921, 0.671, 0.250)
O (0.331, 0.675, 0.254)
O (0.921, 0.077, 0.246)
O (0.331, 0.077, 0.656)
O (0.921, 0.675, 0.844)
O (0.672, 0.922, 0.750)
O (0.079, 0.329, 0.750)
O (0.669, 0.325, 0.746)
O (0.079, 0.923, 0.754)
O (0.669, 0.923, 0.344)
O (0.079, 0.325, 0.156)
O (0.376, 0.626, 0.750)
O (0.624, 0.374, 0.250)

Properties
space-group type = No. 74
VASP energy = -176.40 eV/cell

Entry 11:
Computed, not measured: a geometry-optimized CeAgPb structure at the PBE level of DFT.

Cell: 5.542 5.542 8.766 Å, 90.00 90.00 120.00°
Sites, in units of the cell vectors:
Ce (0.000, 0.000, 0.251)
Ce (0.000, 0.000, 0.749)
Ag (0.333, 0.667, 0.455)
Ag (0.667, 0.333, 0.545)
Pb (0.667, 0.333, 0.955)
Pb (0.333, 0.667, 0.045)

Properties
space-group type = No. 164
VASP energy = -23.70 eV/cell

One value per record, in order, for calculated volume: 393.8; 431.1; 342.9; 3413.1; 222.0; 288.9; 87.3; 547.2; 411.2; 291.2; 233.1 Å³ per cell.
One value per record, in order, for formation energy from the elements: 1.56; -7.69; 1.31; -4.29; -1.74; -36.21; -0.66; -84.50; -8.20; -35.71; 0.63 eV per formula unit.